Entry 1:
Density functional theory data (PBE) for a relaxed structure of Na10TaIn7P12O48.

The size of the total moment is 0.00 μB per cell. As for the formation energy from the elements: -2.582 eV per atom.

Cell: 9.039 15.620 22.820 Å, 90.02 90.01 90.07°
Fractional positions:
Na: 0.000 0.000 0.000
Na: 0.000 0.302 0.331
Na: 0.000 0.636 0.001
Na: 0.134 0.800 0.831
Na: 0.135 0.136 0.500
Na: 0.136 0.500 0.500
Na: 0.182 0.818 0.500
Na: 0.308 0.319 0.747
Na: 0.316 0.985 0.085
Na: 0.318 0.319 0.250
Na: 0.318 0.985 0.584
Na: 0.323 0.646 0.912
Na: 0.329 0.651 0.412
Na: 0.453 0.818 0.001
Na: 0.499 0.501 0.000
Na: 0.500 0.136 0.000
Na: 0.634 0.300 0.831
Na: 0.635 0.333 0.169
Na: 0.635 0.637 0.500
Na: 0.636 0.000 0.500
Na: 0.681 0.318 0.500
Na: 0.683 0.652 0.169
Na: 0.808 0.819 0.747
Na: 0.810 0.147 0.412
Na: 0.817 0.485 0.584
Na: 0.817 0.827 0.250
Na: 0.823 0.146 0.912
Na: 0.829 0.484 0.088
Na: 0.953 0.318 0.001
Na: 0.999 0.668 0.331
Ta: 0.317 0.985 0.232
Ta: 0.319 0.986 0.730
Ta: 0.819 0.486 0.730
In: 0.309 0.318 0.102
In: 0.310 0.319 0.895
In: 0.315 0.653 0.072
In: 0.318 0.318 0.603
In: 0.318 0.651 0.573
In: 0.318 0.985 0.430
In: 0.319 0.986 0.930
In: 0.321 0.648 0.765
In: 0.321 0.650 0.266
In: 0.325 0.317 0.398
In: 0.811 0.819 0.895
In: 0.811 0.823 0.396
In: 0.814 0.149 0.267
In: 0.815 0.485 0.429
In: 0.818 0.148 0.072
In: 0.818 0.151 0.573
In: 0.818 0.486 0.930
In: 0.818 0.818 0.603
In: 0.821 0.148 0.765
In: 0.822 0.822 0.102
In: 0.823 0.485 0.234
P: 0.017 0.652 0.167
P: 0.022 0.318 0.499
P: 0.025 0.986 0.833
P: 0.113 0.818 0.998
P: 0.117 0.151 0.667
P: 0.117 0.484 0.335
P: 0.167 0.501 0.667
P: 0.168 0.802 0.669
P: 0.169 0.132 0.333
P: 0.169 0.170 0.999
P: 0.170 0.466 0.999
P: 0.170 0.837 0.333
P: 0.463 0.838 0.832
P: 0.464 0.466 0.501
P: 0.466 0.132 0.833
P: 0.466 0.170 0.501
P: 0.466 0.802 0.167
P: 0.467 0.502 0.166
P: 0.518 0.150 0.167
P: 0.522 0.818 0.501
P: 0.525 0.486 0.833
P: 0.610 0.986 0.333
P: 0.613 0.318 0.000
P: 0.617 0.651 0.668
P: 0.667 0.001 0.667
P: 0.667 0.635 0.333
P: 0.668 0.302 0.669
P: 0.668 0.334 0.332
P: 0.669 0.671 0.001
P: 0.671 0.965 0.000
P: 0.963 0.338 0.832
P: 0.965 0.671 0.499
P: 0.965 0.966 0.500
P: 0.966 0.300 0.167
P: 0.966 0.632 0.833
P: 0.970 0.002 0.168
O: 0.000 0.831 0.332
O: 0.001 0.143 0.327
O: 0.002 0.815 0.664
O: 0.015 0.836 0.051
O: 0.016 0.468 0.282
O: 0.018 0.165 0.720
O: 0.021 0.802 0.941
O: 0.026 0.501 0.392
O: 0.034 0.131 0.609
O: 0.106 0.639 0.109
O: 0.108 0.997 0.892
O: 0.112 0.301 0.442
O: 0.113 0.663 0.222
O: 0.122 0.335 0.552
O: 0.132 0.334 0.832
O: 0.134 0.310 0.163
O: 0.134 0.645 0.826
O: 0.136 0.977 0.494
O: 0.137 0.661 0.506
O: 0.140 0.977 0.782
O: 0.143 0.994 0.179
O: 0.179 0.554 0.609
O: 0.189 0.409 0.053
O: 0.190 0.227 0.945
O: 0.194 0.083 0.391
O: 0.198 0.748 0.723
O: 0.208 0.568 0.329
O: 0.209 0.401 0.339
O: 0.213 0.737 0.004
O: 0.215 0.899 0.994
O: 0.216 0.068 0.679
O: 0.217 0.898 0.281
O: 0.221 0.228 0.663
O: 0.229 0.411 0.663
O: 0.232 0.874 0.391
O: 0.235 0.545 0.720
O: 0.236 0.747 0.326
O: 0.237 0.078 0.281
O: 0.240 0.079 0.994
O: 0.240 0.557 0.005
O: 0.241 0.768 0.612
O: 0.243 0.221 0.332
O: 0.244 0.893 0.679
O: 0.246 0.208 0.053
O: 0.246 0.427 0.945
O: 0.384 0.751 0.826
O: 0.389 0.428 0.446
O: 0.390 0.209 0.554
O: 0.392 0.221 0.832
O: 0.394 0.557 0.506
O: 0.394 0.893 0.178
O: 0.395 0.079 0.495
O: 0.396 0.771 0.108
O: 0.396 0.874 0.890
O: 0.397 0.079 0.781
O: 0.397 0.545 0.219
O: 0.405 0.410 0.162
O: 0.417 0.069 0.178
O: 0.417 0.899 0.781
O: 0.420 0.899 0.495
O: 0.421 0.737 0.506
O: 0.423 0.232 0.162
O: 0.426 0.564 0.827
O: 0.439 0.742 0.218
O: 0.440 0.399 0.833
O: 0.443 0.084 0.891
O: 0.445 0.409 0.554
O: 0.446 0.226 0.446
O: 0.447 0.556 0.108
O: 0.492 0.994 0.678
O: 0.494 0.979 0.281
O: 0.498 0.661 0.006
O: 0.499 0.645 0.329
O: 0.499 0.976 0.994
O: 0.500 0.326 0.336
O: 0.502 0.315 0.664
O: 0.518 0.302 0.944
O: 0.518 0.334 0.055
O: 0.518 0.665 0.720
O: 0.527 0.997 0.391
O: 0.534 0.631 0.610
O: 0.601 0.130 0.108
O: 0.609 0.497 0.892
O: 0.616 0.800 0.446
O: 0.618 0.836 0.554
O: 0.621 0.168 0.218
O: 0.632 0.833 0.832
O: 0.634 0.144 0.826
O: 0.635 0.810 0.162
O: 0.636 0.476 0.495
O: 0.637 0.160 0.507
O: 0.639 0.495 0.170
O: 0.640 0.477 0.782
O: 0.679 0.053 0.609
O: 0.690 0.909 0.054
O: 0.692 0.729 0.947
O: 0.694 0.584 0.391
O: 0.698 0.388 0.276
O: 0.699 0.248 0.723
O: 0.699 0.902 0.331
O: 0.706 0.066 0.326
O: 0.713 0.236 0.005
O: 0.714 0.399 0.995
O: 0.716 0.568 0.679
O: 0.721 0.728 0.663
O: 0.730 0.911 0.663
O: 0.735 0.045 0.720
O: 0.738 0.594 0.278
O: 0.739 0.373 0.389
O: 0.740 0.580 0.995
O: 0.740 0.708 0.057
O: 0.741 0.268 0.612
O: 0.742 0.056 0.005
O: 0.744 0.393 0.679
O: 0.746 0.927 0.945
O: 0.750 0.247 0.329
O: 0.752 0.722 0.337
O: 0.884 0.251 0.826
O: 0.885 0.388 0.170
O: 0.890 0.712 0.552
O: 0.890 0.928 0.445
O: 0.891 0.721 0.832
O: 0.893 0.057 0.506
O: 0.895 0.261 0.110
O: 0.895 0.580 0.495
O: 0.896 0.374 0.890
O: 0.897 0.579 0.781
O: 0.900 0.046 0.219
O: 0.905 0.912 0.164
O: 0.913 0.731 0.164
O: 0.914 0.572 0.170
O: 0.917 0.399 0.781
O: 0.920 0.398 0.494
O: 0.922 0.237 0.506
O: 0.926 0.064 0.827
O: 0.934 0.247 0.223
O: 0.940 0.899 0.833
O: 0.943 0.584 0.891
O: 0.945 0.909 0.554
O: 0.946 0.725 0.442
O: 0.959 0.052 0.109
O: 0.993 0.494 0.678
O: 0.998 0.160 0.005
O: 0.999 0.476 0.994

***

Entry 2:
Density functional theory data (PBE) for a relaxed structure of Na3Ti3InP6O24.

The size of the total moment is 0.00 μB per cell. As for the formation energy from the elements: -2.877 eV per atom.

Cell: 8.724 8.753 22.278 Å, 90.02 90.02 119.85°
Fractional positions:
Na: 0.000 0.000 0.000
Na: 0.013 0.014 0.501
Na: 0.320 0.651 0.162
Na: 0.332 0.651 0.664
Na: 0.372 0.002 0.749
Na: 0.644 0.005 0.247
Na: 0.665 0.334 0.330
Na: 0.680 0.348 0.836
Na: 0.703 0.670 0.415
Ti: 0.003 0.000 0.145
Ti: 0.325 0.661 0.311
Ti: 0.332 0.659 0.814
Ti: 0.333 0.668 0.520
Ti: 0.334 0.669 0.017
Ti: 0.666 0.326 0.482
Ti: 0.666 0.332 0.981
Ti: 0.996 0.999 0.645
Ti: 0.998 0.000 0.856
In: 0.009 0.008 0.354
In: 0.666 0.341 0.179
In: 0.673 0.341 0.685
P: 0.002 0.717 0.751
P: 0.004 0.293 0.248
P: 0.043 0.379 0.916
P: 0.043 0.658 0.418
P: 0.278 0.287 0.751
P: 0.291 0.996 0.249
P: 0.337 0.383 0.418
P: 0.337 0.957 0.915
P: 0.368 0.334 0.080
P: 0.371 0.038 0.585
P: 0.613 0.958 0.416
P: 0.622 0.664 0.916
P: 0.667 0.036 0.082
P: 0.667 0.629 0.581
P: 0.707 0.707 0.252
P: 0.712 0.993 0.751
P: 0.963 0.631 0.080
P: 0.964 0.334 0.583
O: 0.016 0.819 0.417
O: 0.025 0.194 0.909
O: 0.027 0.831 0.695
O: 0.028 0.197 0.193
O: 0.135 0.496 0.860
O: 0.136 0.643 0.360
O: 0.150 0.491 0.572
O: 0.150 0.660 0.068
O: 0.154 0.675 0.473
O: 0.161 0.469 0.971
O: 0.169 0.197 0.693
O: 0.170 0.977 0.909
O: 0.173 0.202 0.418
O: 0.174 0.705 0.756
O: 0.174 0.978 0.194
O: 0.177 0.474 0.255
O: 0.186 0.173 0.806
O: 0.187 0.163 0.086
O: 0.189 0.027 0.588
O: 0.222 0.028 0.308
O: 0.295 0.471 0.756
O: 0.299 0.821 0.253
O: 0.309 0.838 0.969
O: 0.326 0.481 0.473
O: 0.340 0.493 0.069
O: 0.345 0.853 0.573
O: 0.361 0.497 0.361
O: 0.361 0.872 0.857
O: 0.460 0.299 0.749
O: 0.469 0.308 0.027
O: 0.473 0.378 0.138
O: 0.474 0.103 0.644
O: 0.475 0.166 0.532
O: 0.482 0.148 0.243
O: 0.503 0.141 0.923
O: 0.504 0.640 0.860
O: 0.506 0.852 0.070
O: 0.509 0.371 0.423
O: 0.511 0.662 0.572
O: 0.511 0.874 0.357
O: 0.516 0.839 0.470
O: 0.524 0.703 0.255
O: 0.526 0.825 0.755
O: 0.533 0.692 0.971
O: 0.624 0.518 0.638
O: 0.628 0.099 0.141
O: 0.629 0.141 0.423
O: 0.639 0.498 0.922
O: 0.678 0.522 0.246
O: 0.686 0.155 0.750
O: 0.691 0.165 0.030
O: 0.695 0.537 0.525
O: 0.796 0.971 0.417
O: 0.800 0.780 0.313
O: 0.804 0.977 0.693
O: 0.806 0.831 0.909
O: 0.809 0.835 0.199
O: 0.823 0.011 0.807
O: 0.836 0.022 0.087
O: 0.836 0.531 0.027
O: 0.837 0.536 0.751
O: 0.838 0.309 0.529
O: 0.838 0.811 0.588
O: 0.844 0.319 0.242
O: 0.857 0.490 0.422
O: 0.859 0.361 0.923
O: 0.897 0.375 0.640
O: 0.903 0.524 0.138
O: 0.963 0.182 0.306
O: 0.973 0.163 0.587
O: 0.974 0.812 0.087
O: 0.989 0.814 0.808

***

Entry 3:
Density functional theory data (PBE) for a relaxed structure of Na2TiInP3O12.

The size of the total moment is 0.00 μB per cell. As for the formation energy from the elements: -2.737 eV per atom.

Cell: 8.899 8.899 22.416 Å, 90.13 89.87 120.21°
Fractional positions:
Na: 0.363 0.358 0.250
Na: 0.642 0.637 0.750
Na: 0.030 0.691 0.583
Na: 0.309 0.970 0.083
Na: 0.697 0.025 0.916
Na: 0.975 0.303 0.416
Na: 0.999 0.998 0.499
Na: 0.002 0.001 0.999
Na: 0.666 0.331 0.832
Na: 0.669 0.334 0.332
Na: 0.332 0.665 0.166
Na: 0.335 0.668 0.666
Ti: 0.003 0.012 0.648
Ti: 0.988 0.997 0.148
Ti: 0.670 0.345 0.981
Ti: 0.655 0.330 0.481
Ti: 0.336 0.678 0.315
Ti: 0.322 0.664 0.815
In: 0.998 0.991 0.351
In: 0.009 0.002 0.851
In: 0.665 0.324 0.684
In: 0.676 0.335 0.184
In: 0.331 0.657 0.017
In: 0.343 0.669 0.517
P: 0.290 0.994 0.248
P: 0.701 0.708 0.250
P: 0.004 0.296 0.252
P: 0.292 0.299 0.750
P: 0.006 0.710 0.748
P: 0.704 0.996 0.752
P: 0.956 0.327 0.581
P: 0.367 0.041 0.583
P: 0.671 0.629 0.585
P: 0.959 0.633 0.083
P: 0.673 0.044 0.081
P: 0.371 0.329 0.085
P: 0.623 0.660 0.915
P: 0.034 0.375 0.917
P: 0.337 0.963 0.919
P: 0.625 0.966 0.417
P: 0.340 0.377 0.415
P: 0.037 0.663 0.419
O: 0.216 0.035 0.303
O: 0.805 0.779 0.307
O: 0.981 0.199 0.311
O: 0.221 0.195 0.807
O: 0.965 0.784 0.803
O: 0.801 0.019 0.811
O: 0.809 0.974 0.698
O: 0.173 0.198 0.695
O: 0.031 0.825 0.691
O: 0.802 0.827 0.195
O: 0.026 0.191 0.198
O: 0.175 0.969 0.191
O: 0.882 0.368 0.636
O: 0.472 0.112 0.640
O: 0.648 0.532 0.644
O: 0.888 0.528 0.140
O: 0.632 0.118 0.136
O: 0.468 0.352 0.144
O: 0.476 0.307 0.032
O: 0.840 0.531 0.028
O: 0.698 0.158 0.025
O: 0.469 0.160 0.528
O: 0.693 0.524 0.532
O: 0.842 0.302 0.525
O: 0.549 0.702 0.970
O: 0.138 0.446 0.973
O: 0.314 0.865 0.977
O: 0.554 0.862 0.473
O: 0.298 0.451 0.470
O: 0.135 0.686 0.477
O: 0.142 0.640 0.365
O: 0.506 0.864 0.362
O: 0.365 0.491 0.358
O: 0.136 0.494 0.862
O: 0.360 0.858 0.865
O: 0.509 0.635 0.858
O: 0.011 0.818 0.412
O: 0.812 0.002 0.410
O: 0.180 0.194 0.410
O: 0.998 0.188 0.910
O: 0.182 0.989 0.912
O: 0.806 0.820 0.910
O: 0.967 0.158 0.590
O: 0.187 0.032 0.587
O: 0.846 0.808 0.588
O: 0.968 0.813 0.087
O: 0.842 0.033 0.090
O: 0.192 0.154 0.088
O: 0.678 0.151 0.746
O: 0.479 0.335 0.743
O: 0.847 0.527 0.743
O: 0.665 0.521 0.243
O: 0.849 0.322 0.246
O: 0.473 0.153 0.243
O: 0.633 0.491 0.924
O: 0.854 0.365 0.921
O: 0.512 0.141 0.921
O: 0.635 0.146 0.421
O: 0.509 0.367 0.424
O: 0.859 0.488 0.421
O: 0.344 0.484 0.079
O: 0.146 0.669 0.077
O: 0.513 0.860 0.076
O: 0.331 0.854 0.577
O: 0.516 0.656 0.579
O: 0.140 0.487 0.576
O: 0.300 0.825 0.257
O: 0.521 0.699 0.254
O: 0.179 0.474 0.254
O: 0.301 0.479 0.754
O: 0.175 0.700 0.757
O: 0.526 0.821 0.754